[1]
# Na2Zn3GeS6O24 PBE relaxed
# Energy of formation from the pure elements, eV per atom: -1.90
# Magnetization, μB per atom: 0.000
# Crystal system: trigonal
data_Na2Zn3GeS6O24
_chemical_formula_sum 'Na6 Zn9 Ge3 S18 O72'
_symmetry_space_group_name_H-M 'P 3'
_symmetry_Int_Tables_number 143
_cell_length_a 8.6460
_cell_length_b 8.6460
_cell_length_c 22.4866
_cell_angle_alpha 90.00
_cell_angle_beta 90.00
_cell_angle_gamma 120.00
loop_
_symmetry_equiv_pos_as_xyz
'x,y,z'
'-y,x-y,z'
'-x+y,-x,z'
loop_
_atom_site_label
_atom_site_type_symbol
_atom_site_fract_x
_atom_site_fract_y
_atom_site_fract_z
Na1 Na 0.0000 0.0000 0.0000
Na2 Na 0.0000 0.0000 0.4872
Na3 Na 0.3333 0.6667 0.1630
Na4 Na 0.3333 0.6667 0.6571
Na5 Na 0.6667 0.3333 0.3305
Na6 Na 0.6667 0.3333 0.8295
Zn1 Zn 0.0000 0.0000 0.1470
Zn2 Zn 0.0000 0.0000 0.3428
Zn3 Zn 0.0000 0.0000 0.6404
Zn4 Zn 0.3333 0.6667 0.0139
Zn5 Zn 0.3333 0.6667 0.3122
Zn6 Zn 0.3333 0.6667 0.5031
Zn7 Zn 0.3333 0.6667 0.8119
Zn8 Zn 0.6667 0.3333 0.4705
Zn9 Zn 0.6667 0.3333 0.9772
Ge1 Ge 0.0000 0.0000 0.8440
Ge2 Ge 0.6667 0.3333 0.1782
Ge3 Ge 0.6667 0.3333 0.6719
S1 S 0.0374 0.3681 0.4099
S2 S 0.0369 0.6721 0.9072
S3 S 0.2962 0.0056 0.7427
S4 S 0.3040 0.2984 0.2404
S5 S 0.3770 0.0436 0.0777
S6 S 0.3776 0.3351 0.5779
O1 O 0.0194 0.1884 0.4051
O2 O 0.0204 0.2082 0.6904
O3 O 0.0195 0.8007 0.1859
O4 O 0.0236 0.8446 0.9005
O5 O 0.1167 0.6482 0.8527
O6 O 0.1215 0.4761 0.3563
O7 O 0.1338 0.4981 0.0748
O8 O 0.1360 0.6390 0.5764
O9 O 0.1396 0.4465 0.4659
O10 O 0.1454 0.7061 0.9612
O11 O 0.1476 0.6664 0.2462
O12 O 0.1504 0.4693 0.7507
O13 O 0.2003 0.0275 0.0848
O14 O 0.2017 0.1711 0.5859
O15 O 0.2163 0.0407 0.7988
O16 O 0.2291 0.1886 0.2940
O17 O 0.4568 0.1486 0.0235
O18 O 0.4648 0.3104 0.5267
O19 O 0.4792 0.1745 0.7382
O20 O 0.4814 0.3351 0.9128
O21 O 0.4887 0.3114 0.2338
O22 O 0.4920 0.3689 0.6368
O23 O 0.4934 0.1425 0.4139
O24 O 0.4936 0.1300 0.1327

[2]
# Na6Zn7GeS12O48 PBE relaxed
# Energy of formation from the pure elements, eV per atom: -1.94
# Magnetization, μB per atom: 0.000
# Crystal system: triclinic
data_Na6Zn7GeS12O48
_chemical_formula_sum 'Na18 Zn21 Ge3 S36 O144'
_symmetry_space_group_name_H-M 'P 1'
_symmetry_Int_Tables_number 1
_cell_length_a 8.709
_cell_length_b 15.093
_cell_length_c 22.447
_cell_angle_alpha 89.99
_cell_angle_beta 89.97
_cell_angle_gamma 89.99
loop_
_symmetry_equiv_pos_as_xyz
'x,y,z'
loop_
_atom_site_label
_atom_site_type_symbol
_atom_site_fract_x
_atom_site_fract_y
_atom_site_fract_z
Na1 Na 0.000 0.000 0.000
Na2 Na 0.001 0.338 0.331
Na3 Na 0.005 0.007 0.501
Na4 Na 0.007 0.663 0.667
Na5 Na 0.011 0.336 0.833
Na6 Na 0.022 0.666 0.164
Na7 Na 0.149 0.836 0.583
Na8 Na 0.329 0.351 0.416
Na9 Na 0.330 0.016 0.082
Na10 Na 0.375 0.337 0.084
Na11 Na 0.506 0.838 0.336
Na12 Na 0.507 0.163 0.667
Na13 Na 0.512 0.835 0.833
Na14 Na 0.514 0.515 0.499
Na15 Na 0.516 0.510 0.002
Na16 Na 0.523 0.171 0.170
Na17 Na 0.649 0.336 0.583
Na18 Na 0.693 0.683 0.250
Zn1 Zn 0.005 0.001 0.149
Zn2 Zn 0.006 0.337 0.485
Zn3 Zn 0.006 0.666 0.515
Zn4 Zn 0.008 0.006 0.649
Zn5 Zn 0.008 0.338 0.983
Zn6 Zn 0.008 0.669 0.015
Zn7 Zn 0.011 0.338 0.184
Zn8 Zn 0.012 0.669 0.817
Zn9 Zn 0.014 0.336 0.684
Zn10 Zn 0.017 0.665 0.319
Zn11 Zn 0.506 0.835 0.181
Zn12 Zn 0.508 0.507 0.649
Zn13 Zn 0.512 0.162 0.515
Zn14 Zn 0.512 0.169 0.817
Zn15 Zn 0.513 0.171 0.316
Zn16 Zn 0.513 0.506 0.151
Zn17 Zn 0.513 0.832 0.983
Zn18 Zn 0.514 0.835 0.684
Zn19 Zn 0.515 0.506 0.348
Zn20 Zn 0.517 0.834 0.483
Zn21 Zn 0.523 0.169 0.012
Ge1 Ge 0.009 0.002 0.349
Ge2 Ge 0.010 0.002 0.849
Ge3 Ge 0.511 0.504 0.849
S1 S 0.156 0.147 0.751
S2 S 0.156 0.188 0.082
S3 S 0.157 0.484 0.083
S4 S 0.157 0.857 0.750
S5 S 0.158 0.821 0.414
S6 S 0.159 0.521 0.417
S7 S 0.213 0.165 0.414
S8 S 0.215 0.834 0.082
S9 S 0.222 0.502 0.751
S10 S 0.301 0.003 0.250
S11 S 0.306 0.335 0.582
S12 S 0.309 0.667 0.914
S13 S 0.358 0.020 0.915
S14 S 0.360 0.651 0.249
S15 S 0.363 0.354 0.250
S16 S 0.365 0.320 0.915
S17 S 0.365 0.688 0.583
S18 S 0.367 0.983 0.583
S19 S 0.656 0.357 0.750
S20 S 0.657 0.648 0.751
S21 S 0.660 0.983 0.083
S22 S 0.661 0.316 0.417
S23 S 0.661 0.688 0.084
S24 S 0.665 0.021 0.413
S25 S 0.714 0.670 0.415
S26 S 0.718 0.335 0.083
S27 S 0.721 0.002 0.751
S28 S 0.806 0.836 0.583
S29 S 0.808 0.501 0.250
S30 S 0.812 0.167 0.914
S31 S 0.858 0.521 0.914
S32 S 0.865 0.484 0.585
S33 S 0.866 0.188 0.583
S34 S 0.866 0.820 0.914
S35 S 0.867 0.146 0.251
S36 S 0.867 0.857 0.251
O1 O 0.080 0.914 0.407
O2 O 0.082 0.235 0.748
O3 O 0.083 0.104 0.807
O4 O 0.084 0.770 0.758
O5 O 0.088 0.573 0.076
O6 O 0.090 0.787 0.470
O7 O 0.092 0.097 0.088
O8 O 0.092 0.228 0.028
O9 O 0.092 0.429 0.422
O10 O 0.092 0.444 0.137
O11 O 0.092 0.896 0.696
O12 O 0.094 0.560 0.363
O13 O 0.112 0.082 0.407
O14 O 0.115 0.245 0.420
O15 O 0.116 0.756 0.076
O16 O 0.119 0.918 0.088
O17 O 0.126 0.582 0.758
O18 O 0.127 0.421 0.749
O19 O 0.127 0.767 0.362
O20 O 0.127 0.916 0.805
O21 O 0.130 0.093 0.698
O22 O 0.132 0.575 0.471
O23 O 0.133 0.243 0.136
O24 O 0.135 0.427 0.029
O25 O 0.181 0.013 0.908
O26 O 0.192 0.681 0.577
O27 O 0.193 0.344 0.245
O28 O 0.193 0.662 0.256
O29 O 0.195 0.990 0.588
O30 O 0.197 0.987 0.305
O31 O 0.198 0.332 0.920
O32 O 0.210 0.015 0.196
O33 O 0.210 0.323 0.636
O34 O 0.217 0.347 0.527
O35 O 0.217 0.679 0.860
O36 O 0.219 0.650 0.968
O37 O 0.302 0.148 0.469
O38 O 0.306 0.823 0.137
O39 O 0.309 0.181 0.362
O40 O 0.313 0.852 0.030
O41 O 0.315 0.515 0.698
O42 O 0.323 0.487 0.807
O43 O 0.324 0.155 0.759
O44 O 0.325 0.834 0.420
O45 O 0.325 0.850 0.748
O46 O 0.329 0.179 0.077
O47 O 0.329 0.491 0.088
O48 O 0.330 0.509 0.412
O49 O 0.376 0.073 0.970
O50 O 0.387 0.744 0.637
O51 O 0.388 0.598 0.195
O52 O 0.391 0.927 0.530
O53 O 0.392 0.406 0.305
O54 O 0.395 0.082 0.258
O55 O 0.396 0.265 0.862
O56 O 0.396 0.922 0.248
O57 O 0.409 0.255 0.578
O58 O 0.409 0.415 0.587
O59 O 0.410 0.581 0.908
O60 O 0.413 0.743 0.920
O61 O 0.423 0.931 0.921
O62 O 0.425 0.063 0.862
O63 O 0.427 0.395 0.195
O64 O 0.430 0.729 0.529
O65 O 0.431 0.943 0.638
O66 O 0.433 0.599 0.588
O67 O 0.434 0.285 0.970
O68 O 0.434 0.612 0.303
O69 O 0.436 0.073 0.577
O70 O 0.436 0.264 0.254
O71 O 0.439 0.740 0.245
O72 O 0.443 0.412 0.908
O73 O 0.582 0.735 0.748
O74 O 0.583 0.072 0.077
O75 O 0.583 0.270 0.758
O76 O 0.583 0.605 0.807
O77 O 0.585 0.405 0.412
O78 O 0.588 0.944 0.137
O79 O 0.589 0.276 0.472
O80 O 0.589 0.598 0.088
O81 O 0.592 0.396 0.696
O82 O 0.592 0.730 0.031
O83 O 0.598 0.062 0.360
O84 O 0.600 0.931 0.420
O85 O 0.613 0.255 0.078
O86 O 0.614 0.414 0.088
O87 O 0.616 0.750 0.420
O88 O 0.617 0.589 0.411
O89 O 0.625 0.082 0.758
O90 O 0.626 0.922 0.748
O91 O 0.627 0.416 0.805
O92 O 0.630 0.262 0.364
O93 O 0.630 0.930 0.029
O94 O 0.631 0.594 0.698
O95 O 0.636 0.739 0.140
O96 O 0.648 0.074 0.468
O97 O 0.680 0.513 0.907
O98 O 0.693 0.491 0.589
O99 O 0.694 0.181 0.578
O100 O 0.697 0.848 0.248
O101 O 0.699 0.154 0.258
O102 O 0.699 0.833 0.920
O103 O 0.712 0.517 0.197
O104 O 0.714 0.823 0.638
O105 O 0.714 0.849 0.530
O106 O 0.715 0.489 0.304
O107 O 0.716 0.180 0.860
O108 O 0.723 0.148 0.968
O109 O 0.805 0.682 0.359
O110 O 0.809 0.347 0.029
O111 O 0.810 0.321 0.137
O112 O 0.812 0.658 0.468
O113 O 0.815 0.016 0.698
O114 O 0.822 0.987 0.807
O115 O 0.824 0.656 0.758
O116 O 0.825 0.350 0.748
O117 O 0.827 0.993 0.088
O118 O 0.829 0.326 0.422
O119 O 0.831 0.679 0.078
O120 O 0.842 0.013 0.407
O121 O 0.876 0.574 0.968
O122 O 0.887 0.428 0.531
O123 O 0.889 0.244 0.637
O124 O 0.893 0.915 0.307
O125 O 0.894 0.767 0.860
O126 O 0.895 0.093 0.198
O127 O 0.904 0.584 0.255
O128 O 0.907 0.422 0.245
O129 O 0.910 0.756 0.578
O130 O 0.910 0.915 0.588
O131 O 0.911 0.082 0.907
O132 O 0.914 0.244 0.920
O133 O 0.922 0.431 0.920
O134 O 0.924 0.561 0.860
O135 O 0.930 0.443 0.639
O136 O 0.931 0.228 0.529
O137 O 0.934 0.573 0.579
O138 O 0.934 0.768 0.258
O139 O 0.934 0.897 0.198
O140 O 0.935 0.099 0.588
O141 O 0.938 0.783 0.968
O142 O 0.940 0.104 0.307
O143 O 0.940 0.234 0.248
O144 O 0.944 0.913 0.907

[3]
# NaGeSb5O PBE relaxed
# Energy of formation from the pure elements, eV per atom: -0.20
# Magnetization, μB per atom: 0.000
# Crystal system: monoclinic
data_NaGeSb5O
_chemical_formula_sum 'Na4 Ge4 Sb20 O4'
_symmetry_space_group_name_H-M 'C 1 2/c 1'
_symmetry_Int_Tables_number 15
_cell_length_a 7.712
_cell_length_b 14.424
_cell_length_c 8.313
_cell_angle_alpha 90.00
_cell_angle_beta 112.63
_cell_angle_gamma 90.00
loop_
_symmetry_equiv_pos_as_xyz
'x,y,z'
'-x,-y,-z'
'-x,y,-z+1/2'
'x,-y,z+1/2'
'x+1/2,y+1/2,z'
'-x+1/2,-y+1/2,-z'
'-x+1/2,y+1/2,-z+1/2'
'x+1/2,-y+1/2,z+1/2'
loop_
_atom_site_label
_atom_site_type_symbol
_atom_site_fract_x
_atom_site_fract_y
_atom_site_fract_z
Na1 Na 0.000 0.155 0.250
Ge1 Ge 0.250 0.250 0.000
Sb1 Sb 0.000 0.108 0.750
Sb2 Sb 0.074 0.354 0.501
Sb3 Sb 0.204 0.460 0.906
O1 O 0.000 0.312 0.250

> Which formula does entry 1 have?

Na2Zn3GeS6O24

> Among the records above, which one has the highest energy of formation from the pure elements?

NaGeSb5O

> Which formula does entry 3 have?

NaGeSb5O

> The lowest energy of formation from the pure elements belongs to which entry?

Na6Zn7GeS12O48